[1]
{
  "formula": "NdO2",
  "functional": "PBE",
  "state": "optimized geometry",
  "ef_ev_per_atom": -2.85,
  "magmom_total_mub_per_fu": 1.0,
  "crystal_system": "orthorhombic",
  "cell": [[5.277, 0.000, 0.000], [0.000, 5.445, 0.000], [0.000, 0.000, 3.790]],
  "species": ["Nd", "Nd", "O", "O", "O", "O"],
  "frac_coords": [[0.000, 0.000, 0.000], [0.500, 0.500, 0.500], [0.180, 0.203, 0.500], [0.320, 0.703, 0.000], [0.680, 0.297, 0.000], [0.820, 0.797, 0.500]]
}

---

[2]
{
  "formula": "UH2O4",
  "functional": "PBE",
  "state": "optimized geometry",
  "ef_ev_per_atom": -2.49,
  "magmom_total_mub_per_fu": 0.0,
  "e_above_lowest_polymorph_ev_per_atom": 0.0905,
  "crystal_system": "orthorhombic",
  "cell": [[5.422, 0.000, 0.000], [0.000, 6.022, 0.000], [0.000, 0.000, 10.144]],
  "species": ["U", "U", "U", "U", "H", "H", "H", "H", "H", "H", "H", "H", "O", "O", "O", "O", "O", "O", "O", "O", "O", "O", "O", "O", "O", "O", "O", "O"],
  "frac_coords": [[0.000, 0.000, 0.000], [0.000, 0.500, 0.500], [0.500, 0.000, 0.500], [0.500, 0.500, 0.000], [0.150, 0.121, 0.262], [0.150, 0.379, 0.762], [0.350, 0.621, 0.262], [0.350, 0.879, 0.762], [0.650, 0.121, 0.238], [0.650, 0.379, 0.738], [0.850, 0.621, 0.238], [0.850, 0.879, 0.738], [0.165, 0.028, 0.181], [0.165, 0.472, 0.681], [0.235, 0.203, 0.439], [0.235, 0.297, 0.939], [0.265, 0.703, 0.439], [0.265, 0.797, 0.939], [0.335, 0.528, 0.181], [0.335, 0.972, 0.681], [0.665, 0.028, 0.319], [0.665, 0.472, 0.819], [0.735, 0.203, 0.061], [0.735, 0.297, 0.561], [0.765, 0.703, 0.061], [0.765, 0.797, 0.561], [0.835, 0.528, 0.319], [0.835, 0.972, 0.819]]
}

---

[3]
{
  "formula": "ThSiSe",
  "functional": "PBE",
  "state": "optimized geometry",
  "ef_ev_per_atom": -1.36,
  "crystal_system": "tetragonal",
  "cell": [[-2.003, 2.003, 8.856], [2.003, -2.003, 8.856], [2.003, 2.003, -8.856]],
  "species": ["Th", "Th", "Si", "Si", "Se", "Se"],
  "frac_coords": [[0.129, 0.129, 0.000], [0.871, 0.871, 0.000], [0.000, 0.500, 0.500], [0.500, 0.000, 0.500], [0.312, 0.312, 0.000], [0.688, 0.688, 0.000]]
}

---

[4]
{
  "formula": "TbMgPd",
  "functional": "PBE",
  "state": "optimized geometry",
  "ef_ev_per_atom": -0.69,
  "crystal_system": "hexagonal",
  "cell": [[7.553, 0.000, 0.000], [-3.776, 6.541, 0.000], [0.000, 0.000, 3.999]],
  "species": ["Tb", "Tb", "Tb", "Mg", "Mg", "Mg", "Pd", "Pd", "Pd"],
  "frac_coords": [[0.000, 0.588, 0.000], [0.412, 0.412, 0.000], [0.588, 0.000, 0.000], [0.000, 0.246, 0.500], [0.246, 0.000, 0.500], [0.754, 0.754, 0.500], [0.000, 0.000, 0.000], [0.333, 0.667, 0.500], [0.667, 0.333, 0.500]]
}